DFT (PBE-GGA) results for crystalline Sc at its relaxed geometry.

It has space group Im-3m (No. 229), with a = 3.677 Å, b = 3.677 Å, c = 3.677 Å, α = 90.00°, β = 90.00° and γ = 90.00°. The distinct sites, in fractional coordinates, are Sc at (0.000, 0.000, 0.000).

For the energy above the most stable polymorph in this dataset, the calculation gives 9.9 kJ per mole of atoms. The calculated formation energy comes out at 102 meV per atom. The crystal system is cubic.